A relaxed structure of PmZn2Au. Source: the Materials Project database, functional r²SCAN.

Values from the calculation:
Spin magnetization in μB per atom: 0.000
Energy in eV per atom: -24.971
SG: No. 225
Calculated formation energy in eV per atom: -0.4844

abc: 6.688 6.688 6.688
angles: 90.00 90.00 90.00
Positions (direct):
1 Pm 0.000 0.000 0.000
2 Pm 0.000 0.500 0.500
3 Pm 0.500 0.000 0.500
4 Pm 0.500 0.500 0.000
5 Zn 0.250 0.250 0.250
6 Zn 0.250 0.250 0.750
7 Zn 0.250 0.750 0.250
8 Zn 0.250 0.750 0.750
9 Zn 0.750 0.250 0.250
10 Zn 0.750 0.250 0.750
11 Zn 0.750 0.750 0.250
12 Zn 0.750 0.750 0.750
13 Au 0.000 0.000 0.500
14 Au 0.000 0.500 0.000
15 Au 0.500 0.000 0.000
16 Au 0.500 0.500 0.500

---

A relaxed structure of Th3Cd. Source: the Materials Project database, functional r²SCAN.

Values from the calculation:
Spin magnetization in μB per atom: 0.000
Energy in eV per atom: -60.154
SG: No. 139
Calculated formation energy in eV per atom: -0.0211

abc: 4.903 4.903 10.061
angles: 90.00 90.00 90.00
Positions (direct):
1 Th 0.000 0.000 0.000
2 Th 0.000 0.500 0.250
3 Th 0.000 0.500 0.750
4 Th 0.500 0.000 0.250
5 Th 0.500 0.000 0.750
6 Th 0.500 0.500 0.500
7 Cd 0.000 0.000 0.500
8 Cd 0.500 0.500 0.000

---

A relaxed structure of Sm2Se3. Source: the Materials Project database, functional r²SCAN.

Values from the calculation:
Spin magnetization in μB per atom: 0.000
Energy in eV per atom: -22.678
SG: No. 62
Calculated formation energy in eV per atom: -2.1980

abc: 11.361 4.115 11.119
angles: 90.00 90.00 90.00
Positions (direct):
1 Sm 0.012 0.250 0.187
2 Sm 0.193 0.250 0.503
3 Sm 0.307 0.750 0.003
4 Sm 0.488 0.750 0.687
5 Sm 0.512 0.250 0.313
6 Sm 0.693 0.250 0.997
7 Sm 0.807 0.750 0.497
8 Sm 0.988 0.750 0.813
9 Se 0.045 0.750 0.374
10 Se 0.119 0.250 0.944
11 Se 0.227 0.750 0.698
12 Se 0.273 0.250 0.198
13 Se 0.381 0.750 0.444
14 Se 0.455 0.250 0.874
15 Se 0.545 0.750 0.126
16 Se 0.619 0.250 0.556
17 Se 0.727 0.750 0.802
18 Se 0.773 0.250 0.302
19 Se 0.881 0.750 0.056
20 Se 0.955 0.250 0.626

---

A relaxed structure of Dy2HfS5. Source: the Materials Project database, functional r²SCAN.

Values from the calculation:
Spin magnetization in μB per atom: 0.000
Energy in eV per atom: -20.822
SG: No. 62
Calculated formation energy in eV per atom: -2.1613

abc: 11.501 7.718 7.237
angles: 90.00 90.00 90.00
Positions (direct):
1 Dy 0.179 0.003 0.023
2 Dy 0.179 0.497 0.023
3 Dy 0.321 0.503 0.523
4 Dy 0.321 0.997 0.523
5 Dy 0.679 0.003 0.477
6 Dy 0.679 0.497 0.477
7 Dy 0.821 0.503 0.977
8 Dy 0.821 0.997 0.977
9 Hf 0.006 0.750 0.575
10 Hf 0.494 0.250 0.075
11 Hf 0.506 0.750 0.925
12 Hf 0.994 0.250 0.425
13 S 0.003 0.750 0.947
14 S 0.093 0.036 0.661
15 S 0.093 0.464 0.661
16 S 0.181 0.750 0.334
17 S 0.207 0.250 0.312
18 S 0.293 0.750 0.812
19 S 0.319 0.250 0.834
20 S 0.407 0.536 0.161
21 S 0.407 0.964 0.161
22 S 0.497 0.250 0.447
23 S 0.503 0.750 0.553
24 S 0.593 0.036 0.839
25 S 0.593 0.464 0.839
26 S 0.681 0.750 0.166
27 S 0.707 0.250 0.188
28 S 0.793 0.750 0.688
29 S 0.819 0.250 0.666
30 S 0.907 0.536 0.339
31 S 0.907 0.964 0.339
32 S 0.997 0.250 0.053

---

A relaxed structure of DyHoIn2. Source: the Materials Project database, functional r²SCAN.

Values from the calculation:
Spin magnetization in μB per atom: 0.000
Energy in eV per atom: -28.089
SG: No. 225
Calculated formation energy in eV per atom: -0.5843

abc: 7.462 7.462 7.462
angles: 90.00 90.00 90.00
Positions (direct):
1 Dy 0.000 0.000 0.000
2 Dy 0.000 0.500 0.500
3 Dy 0.500 0.000 0.500
4 Dy 0.500 0.500 0.000
5 Ho 0.000 0.000 0.500
6 Ho 0.000 0.500 0.000
7 Ho 0.500 0.000 0.000
8 Ho 0.500 0.500 0.500
9 In 0.250 0.250 0.250
10 In 0.250 0.250 0.750
11 In 0.250 0.750 0.250
12 In 0.250 0.750 0.750
13 In 0.750 0.250 0.250
14 In 0.750 0.250 0.750
15 In 0.750 0.750 0.250
16 In 0.750 0.750 0.750

---

A relaxed structure of Y3B7W. Source: the Materials Project database, functional r²SCAN.

Values from the calculation:
Spin magnetization in μB per atom: 0.000
Energy in eV per atom: -15.519
SG: No. 63
Calculated formation energy in eV per atom: -0.6346

abc: 8.184 8.184 9.488
angles: 90.00 90.00 155.54
Positions (direct):
1 Y 0.107 0.893 0.560
2 Y 0.107 0.893 0.940
3 Y 0.244 0.756 0.250
4 Y 0.756 0.244 0.750
5 Y 0.893 0.107 0.060
6 Y 0.893 0.107 0.440
7 B 0.272 0.728 0.534
8 B 0.272 0.728 0.966
9 B 0.365 0.635 0.647
10 B 0.365 0.635 0.853
11 B 0.456 0.544 0.250
12 B 0.480 0.520 0.592
13 B 0.480 0.520 0.908
14 B 0.520 0.480 0.092
15 B 0.520 0.480 0.408
16 B 0.544 0.456 0.750
17 B 0.635 0.365 0.147
18 B 0.635 0.365 0.353
19 B 0.728 0.272 0.034
20 B 0.728 0.272 0.466
21 W 0.054 0.946 0.250
22 W 0.946 0.054 0.750

---

> Which formula does entry 2 have?

Th3Cd